No. 1
Entry from the Materials Project: UMnFeSi2 after structural relaxation (PBE).

Results
crystal system: tetragonal
corrected total energy (MP2020 scheme): -8.365 eV per atom
DFT formation energy: -410 meV/atom
magnetic moment: 0.2 μB/cell
VASP energy: -41.97 eV/cell

The structure in POSCAR format:
```
UMnFeSi2
1.0
3.9859 0.0000 0.0000
0.0000 3.9859 0.0000
1.9930 1.9930 4.5965
U Mn Fe Si
1 1 1 2
Direct
0.0000 0.0000 0.0000
0.2500 0.7500 0.5000
0.7500 0.2500 0.5000
0.3701 0.3701 0.2598
0.6299 0.6299 0.7402
```



No. 2
Entry from the Materials Project: Bi25O38 after structural relaxation (PBE).

Results
crystal system: triclinic
corrected total energy (MP2020 scheme): -6.122 eV per atom
DFT formation energy: -1594 meV/atom
VASP energy: -359.57 eV/cell

The structure in POSCAR format:
```
Bi25O38
1.0
8.9909 0.0000 0.0000
-3.0423 8.5552 0.0000
-0.0070 -0.1472 14.7131
Bi O
25 38
Direct
0.4385 0.2358 0.0840
0.7843 0.6231 0.0875
0.4694 0.1722 0.3361
0.8355 0.5116 0.3513
0.9997 0.3552 0.1558
0.6603 0.9672 0.1749
0.9276 0.0529 0.7655
0.2505 0.7715 0.0620
0.4154 0.5533 0.2422
0.7699 0.2591 0.5761
0.9194 0.7237 0.5886
0.0965 0.2662 0.4021
0.2590 0.1013 0.5969
0.7261 0.9176 0.4226
0.4998 0.5027 0.5035
0.2675 0.7574 0.4318
0.7638 0.2740 0.9203
0.0615 0.9095 0.2563
0.5579 0.4162 0.7454
0.9800 0.6815 0.8483
0.3296 0.0249 0.8513
0.5142 0.8608 0.6595
0.1620 0.4817 0.6747
0.5709 0.7519 0.9016
0.2084 0.3875 0.9193
0.3722 0.0024 0.9998
0.9557 0.0695 0.3068
0.6848 0.2859 0.0562
0.9413 0.5639 0.1782
0.4355 0.0762 0.1891
0.5682 0.4457 0.1833
0.8021 0.1791 0.4435
0.9924 0.3621 0.0003
0.8196 0.8167 0.1854
0.2415 0.4706 0.1297
0.5009 0.7583 0.1222
0.9873 0.7482 0.3667
0.2580 0.9962 0.3752
0.3119 0.3122 0.3115
0.8693 0.5041 0.4994
0.0027 0.7377 0.0017
0.6226 0.6188 0.3836
0.4890 0.2617 0.4969
0.4401 0.0695 0.6789
0.5759 0.9298 0.3120
0.0501 0.4332 0.3174
0.9423 0.5728 0.6910
0.6219 0.6158 0.6261
0.2614 0.5076 0.4955
0.5012 0.8678 0.4988
0.3201 0.3209 0.6828
0.0070 0.2691 0.6206
0.7474 0.0029 0.6293
0.7631 0.5019 0.8834
0.4953 0.2534 0.8727
0.8158 0.8120 0.8204
0.1824 0.8048 0.5584
0.4495 0.5639 0.8107
0.1330 0.1347 0.8689
0.0617 0.4212 0.8137
0.5560 0.9339 0.8184
0.0719 0.9505 0.6927
0.3030 0.6818 0.9373
```



No. 3
Entry from the Materials Project: K2MgSb2O6 after structural relaxation (PBE).

Results
crystal system: trigonal
corrected total energy (MP2020 scheme): -5.740 eV per atom
DFT formation energy: -1943 meV/atom
magnetic moment: 0.0 μB/cell
VASP energy: -59.01 eV/cell
excess energy over the best structure of this formula in the dataset: 0.0233 eV/atom

The structure in POSCAR format:
```
K2MgSb2O6
1.0
-2.9694 -5.1431 0.0000
2.9694 -5.1431 0.0000
0.0000 -3.4287 5.5103
K Mg Sb O
2 1 2 6
Direct
0.3822 0.3822 0.8535
0.6178 0.6178 0.1465
0.0000 0.0000 0.0000
0.1770 0.1770 0.4690
0.8230 0.8230 0.5310
0.9902 0.1296 0.2736
0.1296 0.6066 0.2736
0.6066 0.9902 0.2736
0.0098 0.8704 0.7264
0.8704 0.3934 0.7264
0.3934 0.0098 0.7264
```



No. 4
Entry from the Materials Project: Tb2Al5Ge2 after structural relaxation (PBE).

Results
crystal system: orthorhombic
DFT formation energy: -373 meV/atom
magnetic moment: 0.0 μB/cell
VASP energy: -81.20 eV/cell

The structure in POSCAR format:
```
Tb2Al5Ge2
1.0
2.8817 -7.7354 0.0000
2.8817 7.7354 0.0000
0.0000 0.0000 8.0384
Tb Al Ge
4 10 4
Direct
0.8825 0.1175 0.4190
0.1175 0.8825 0.5810
0.6175 0.3825 0.9190
0.3825 0.6175 0.0810
0.7973 0.7027 0.2500
0.2027 0.2973 0.7500
0.7027 0.7973 0.7500
0.2973 0.2027 0.2500
0.0000 0.0000 0.0000
0.5000 0.5000 0.5000
0.9663 0.5337 0.2500
0.0337 0.4663 0.7500
0.5337 0.9663 0.7500
0.4663 0.0337 0.2500
0.8184 0.1816 0.0483
0.1816 0.8184 0.9517
0.6816 0.3184 0.5483
0.3184 0.6816 0.4517
```



No. 5
Entry from the Materials Project: RbGa2Au3 after structural relaxation (PBE).

Results
crystal system: orthorhombic
DFT formation energy: -334 meV/atom
magnetic moment: 0.0 μB/cell
VASP energy: -75.46 eV/cell

The structure in POSCAR format:
```
RbGa2Au3
1.0
-0.7784 5.5624 -0.9324
0.1943 -1.1626 -7.0976
-13.5025 -1.8994 -0.0585
Rb Ga Au
4 8 12
Direct
0.2500 0.1002 0.0734
0.2500 0.3998 0.5734
0.7500 0.8998 0.9266
0.7500 0.6002 0.4266
0.9980 0.8952 0.6548
0.5020 0.6048 0.1548
0.4980 0.1048 0.3452
0.0020 0.3952 0.8452
0.0020 0.1048 0.3452
0.4980 0.3952 0.8452
0.5020 0.8952 0.6548
0.9980 0.6048 0.1548
0.2500 0.1096 0.7849
0.2500 0.3904 0.2849
0.7500 0.8904 0.2151
0.7500 0.6096 0.7151
0.2500 0.6992 0.7894
0.2500 0.8008 0.2894
0.7500 0.3008 0.2106
0.7500 0.1992 0.7106
0.2500 0.5792 0.9933
0.2500 0.9208 0.4933
0.7500 0.4208 0.0067
0.7500 0.0792 0.5067
```



No. 6
Entry from the Materials Project: SiO2 after structural relaxation (PBE).

Results
crystal system: cubic
corrected total energy (MP2020 scheme): -8.334 eV per atom
DFT formation energy: -3227 meV/atom
magnetic moment: 0.0 μB/cell
VASP energy: -1134.09 eV/cell

The structure in POSCAR format:
```
SiO2
1.0
-10.2669 10.2669 10.2669
10.2669 -10.2669 10.2669
10.2669 10.2669 -10.2669
Si O
48 96
Direct
0.6525 0.8962 0.4016
0.7491 0.3475 0.2437
0.2437 0.3475 0.7491
0.1038 0.3475 0.5984
0.7563 0.5054 0.1038
0.4946 0.2437 0.8962
0.5054 0.1038 0.7563
0.5054 0.4016 0.7491
0.4016 0.5054 0.7491
0.5054 0.7563 0.1038
0.7491 0.5054 0.4016
0.5054 0.7491 0.4016
0.5984 0.4946 0.2509
0.2509 0.4946 0.5984
0.3475 0.5984 0.1038
0.3475 0.7491 0.2437
0.1038 0.5054 0.7563
0.5984 0.1038 0.3475
0.8962 0.4016 0.6525
0.3475 0.1038 0.5984
0.8962 0.2437 0.4946
0.7491 0.2437 0.3475
0.8962 0.6525 0.4016
0.6525 0.2509 0.7563
0.2437 0.7491 0.3475
0.4016 0.7491 0.5054
0.4016 0.6525 0.8962
0.2509 0.6525 0.7563
0.3475 0.2437 0.7491
0.4016 0.8962 0.6525
0.2437 0.8962 0.4946
0.4946 0.8962 0.2437
0.8962 0.4946 0.2437
0.4946 0.5984 0.2509
0.7563 0.6525 0.2509
0.2509 0.5984 0.4946
0.7491 0.4016 0.5054
0.5984 0.2509 0.4946
0.2509 0.7563 0.6525
0.2437 0.4946 0.8962
0.4946 0.2509 0.5984
0.6525 0.4016 0.8962
0.7563 0.2509 0.6525
0.7563 0.1038 0.5054
0.5984 0.3475 0.1038
0.1038 0.5984 0.3475
0.6525 0.7563 0.2509
0.1038 0.7563 0.5054
0.5143 0.2457 0.5143
0.8353 0.3932 0.2285
0.7559 0.3278 0.4281
0.3492 0.8492 0.6983
0.4281 0.1003 0.6722
0.5719 0.2441 0.6722
0.3278 0.5719 0.8997
0.1647 0.5579 0.3932
0.5000 0.6508 0.3492
0.2441 0.6722 0.5719
0.3492 0.6983 0.8492
0.5000 0.1508 0.8492
0.2686 0.7543 0.2686
0.8353 0.2285 0.3932
0.0000 0.5143 0.2686
0.7314 0.7314 0.2457
0.5719 0.8997 0.3278
0.4421 0.8353 0.6068
0.5000 0.8492 0.1508
0.3278 0.7559 0.4281
0.7314 0.4857 0.0000
0.3492 0.6508 0.5000
0.3932 0.5579 0.1647
0.2285 0.8353 0.3932
0.8997 0.5719 0.3278
0.2686 0.0000 0.5143
0.8353 0.4421 0.6068
0.4281 0.7559 0.3278
0.8492 0.3492 0.6983
0.8492 0.1508 0.5000
0.2441 0.5719 0.6722
0.4857 0.4857 0.7543
0.8492 0.6983 0.3492
0.1003 0.4281 0.6722
0.3492 0.5000 0.6508
0.2686 0.2686 0.7543
0.6508 0.1508 0.3017
0.8353 0.6068 0.4421
0.4281 0.3278 0.7559
0.7543 0.4857 0.4857
0.0000 0.2686 0.5143
0.6068 0.4421 0.8353
0.6068 0.7715 0.1647
0.6722 0.4281 0.1003
0.7715 0.1647 0.6068
0.5000 0.3492 0.6508
0.2686 0.5143 0.0000
0.1003 0.6722 0.4281
0.5143 0.2686 0.0000
0.4857 0.7543 0.4857
0.6983 0.3492 0.8492
0.6068 0.1647 0.7715
0.7715 0.6068 0.1647
0.1508 0.5000 0.8492
0.5579 0.1647 0.3932
0.4857 0.7314 0.0000
0.3932 0.8353 0.2285
0.6508 0.5000 0.3492
0.5719 0.6722 0.2441
0.1508 0.3017 0.6508
0.4421 0.6068 0.8353
0.3017 0.1508 0.6508
0.5143 0.5143 0.2457
0.3017 0.6508 0.1508
0.5719 0.3278 0.8997
0.3278 0.8997 0.5719
0.1647 0.7715 0.6068
0.1647 0.3932 0.5579
0.7314 0.2457 0.7314
0.8492 0.5000 0.1508
0.6068 0.8353 0.4421
0.3932 0.1647 0.5579
0.7314 0.0000 0.4857
0.5579 0.3932 0.1647
0.6722 0.2441 0.5719
0.7559 0.4281 0.3278
0.4281 0.6722 0.1003
0.6983 0.8492 0.3492
0.3278 0.4281 0.7559
0.6508 0.3492 0.5000
0.0000 0.7314 0.4857
0.2457 0.7314 0.7314
0.1647 0.6068 0.7715
0.7543 0.2686 0.2686
0.0000 0.4857 0.7314
0.3932 0.2285 0.8353
0.8997 0.3278 0.5719
0.6722 0.1003 0.4281
0.6508 0.3017 0.1508
0.2285 0.3932 0.8353
0.1508 0.8492 0.5000
0.2457 0.5143 0.5143
0.4857 0.0000 0.7314
0.1508 0.6508 0.3017
0.5143 0.0000 0.2686
0.6722 0.5719 0.2441
```



No. 7
Entry from the Materials Project: LiMg6Mo after structural relaxation (PBE).

Results
crystal system: orthorhombic
DFT formation energy: 146 meV/atom
magnetic moment: 0.0 μB/cell
VASP energy: -21.19 eV/cell
excess energy over the best structure of this formula in the dataset: 0.0012 eV/atom

The structure in POSCAR format:
```
LiMg6Mo
1.0
-5.9671 -0.2783 -1.1784
-0.1356 -5.7020 2.1310
-0.8562 1.5076 3.9796
Li Mg Mo
1 6 1
Direct
0.6250 0.3750 0.0000
0.6250 0.8750 0.0000
0.1250 0.3750 0.0000
0.8866 0.6366 0.5000
0.3634 0.1134 0.5000
0.8880 0.1120 0.5000
0.3620 0.6380 0.5000
0.1250 0.8750 0.0000
```



No. 8
Entry from the Materials Project: LiCuPO4 after structural relaxation (PBE).

Results
crystal system: monoclinic
corrected total energy (MP2020 scheme): -6.624 eV per atom
DFT formation energy: -2165 meV/atom
magnetic moment: 8.0 μB/cell
VASP energy: -348.97 eV/cell
excess energy over the best structure of this formula in the dataset: 0.0318 eV/atom

The structure in POSCAR format:
```
LiCuPO4
1.0
-2.0495 10.0825 0.5746
-5.3920 -0.9883 -1.8910
-3.3669 -1.2141 9.2934
Li Cu P O
8 8 8 32
Direct
0.8563 0.8688 0.8879
0.6437 0.8688 0.3879
0.3385 0.6124 0.6389
0.1615 0.6124 0.1389
0.8385 0.3876 0.8611
0.6615 0.3876 0.3611
0.3563 0.1312 0.6121
0.1437 0.1312 0.1121
0.0923 0.8776 0.7288
0.4077 0.8776 0.2288
0.6232 0.6554 0.9854
0.8768 0.6554 0.4854
0.1232 0.3446 0.5146
0.3768 0.3446 0.0146
0.5923 0.1224 0.7712
0.9077 0.1224 0.2712
0.3548 0.8741 0.9096
0.1452 0.8741 0.4096
0.6112 0.6261 0.6654
0.8888 0.6261 0.1654
0.1112 0.3739 0.8346
0.3888 0.3739 0.3346
0.8548 0.1259 0.5904
0.6452 0.1259 0.0904
0.2180 0.9071 0.5434
0.9331 0.8977 0.6244
0.2820 0.9071 0.0434
0.5669 0.8977 0.1244
0.2655 0.8296 0.7897
0.5278 0.8501 0.6510
0.2345 0.8296 0.2897
0.9722 0.8501 0.1510
0.4471 0.6625 0.9206
0.7000 0.6307 0.7935
0.0529 0.6625 0.4206
0.6966 0.6111 0.5350
0.0176 0.5850 0.8300
0.8000 0.6307 0.2935
0.8034 0.6111 0.0350
0.4824 0.5850 0.3300
0.5176 0.4150 0.6700
0.1966 0.3889 0.9650
0.2000 0.3693 0.7065
0.9824 0.4150 0.1700
0.3034 0.3889 0.4650
0.9471 0.3375 0.5794
0.3000 0.3693 0.2065
0.5529 0.3375 0.0794
0.0278 0.1499 0.8490
0.7655 0.1704 0.7103
0.4722 0.1499 0.3490
0.7345 0.1704 0.2103
0.4331 0.1023 0.8756
0.7180 0.0929 0.9566
0.0669 0.1023 0.3756
0.7820 0.0929 0.4566
```